A plane-wave DFT calculation with PBE-GGA was carried out for a relaxed structure of SiPb2O4.

ΔH_f (0 K), kJ/mol of atoms: -219.2

Lattice parameters (Å, degrees): 7.301 7.301 19.774 96.19 96.19 64.51
Fractional coordinates of all 56 atoms:
Si  0.003  0.003  0.081
Si  0.246  0.746  0.419
Si  0.254  0.754  0.581
Si  0.419  0.573  0.919
Si  0.427  0.581  0.081
Si  0.669  0.322  0.419
Si  0.678  0.331  0.581
Si  0.997  0.997  0.919
Pb  0.080  0.671  0.750
Pb  0.082  0.165  0.745
Pb  0.191  0.273  0.408
Pb  0.200  0.278  0.591
Pb  0.329  0.920  0.250
Pb  0.334  0.421  0.247
Pb  0.477  0.057  0.909
Pb  0.484  0.056  0.091
Pb  0.579  0.666  0.753
Pb  0.589  0.168  0.752
Pb  0.722  0.800  0.409
Pb  0.727  0.809  0.592
Pb  0.832  0.411  0.248
Pb  0.835  0.918  0.255
Pb  0.943  0.523  0.091
Pb  0.944  0.516  0.909
O  0.046  0.186  0.125
O  0.049  0.167  0.889
O  0.063  0.703  0.376
O  0.082  0.703  0.612
O  0.175  0.256  0.295
O  0.195  0.805  0.500
O  0.205  0.782  0.915
O  0.218  0.795  0.085
O  0.249  0.334  0.705
O  0.297  0.918  0.388
O  0.297  0.937  0.624
O  0.376  0.390  0.876
O  0.376  0.410  0.112
O  0.422  0.003  0.796
O  0.457  0.534  0.415
O  0.466  0.543  0.585
O  0.478  0.522  0.000
O  0.496  0.079  0.205
O  0.590  0.624  0.888
O  0.610  0.624  0.124
O  0.627  0.139  0.376
O  0.628  0.159  0.612
O  0.666  0.751  0.295
O  0.730  0.270  0.500
O  0.744  0.825  0.705
O  0.814  0.954  0.875
O  0.833  0.951  0.111
O  0.841  0.372  0.388
O  0.861  0.373  0.624
O  0.921  0.504  0.795
O  0.945  0.055  0.000
O  0.997  0.578  0.204

***

A plane-wave DFT calculation with PBE-GGA was carried out for a relaxed structure of SiPb2O4.

ΔH_f (0 K), kJ/mol of atoms: -219.4

Lattice parameters (Å, degrees): 7.320 7.320 19.806 96.05 96.05 64.31
Fractional coordinates of all 56 atoms:
Si  0.158  0.833  0.669
Si  0.167  0.842  0.831
Si  0.409  0.582  0.169
Si  0.418  0.591  0.331
Si  0.582  0.409  0.669
Si  0.591  0.418  0.831
Si  0.833  0.158  0.169
Si  0.842  0.167  0.331
Pb  0.001  0.753  0.003
Pb  0.105  0.351  0.658
Pb  0.106  0.358  0.842
Pb  0.247  0.999  0.497
Pb  0.248  0.501  0.499
Pb  0.351  0.105  0.158
Pb  0.358  0.106  0.342
Pb  0.499  0.752  0.001
Pb  0.501  0.248  0.999
Pb  0.642  0.894  0.658
Pb  0.649  0.895  0.842
Pb  0.752  0.499  0.501
Pb  0.753  0.001  0.503
Pb  0.894  0.642  0.158
Pb  0.895  0.649  0.342
Pb  0.999  0.247  0.997
O  0.003  0.213  0.139
O  0.026  0.205  0.375
O  0.086  0.339  0.545
O  0.103  0.897  0.750
O  0.165  0.412  0.954
O  0.205  0.026  0.875
O  0.213  0.003  0.639
O  0.226  0.542  0.125
O  0.247  0.541  0.362
O  0.339  0.086  0.045
O  0.355  0.645  0.250
O  0.366  0.616  0.667
O  0.384  0.634  0.833
O  0.412  0.165  0.454
O  0.458  0.774  0.375
O  0.459  0.753  0.138
O  0.541  0.247  0.862
O  0.542  0.226  0.625
O  0.588  0.835  0.546
O  0.616  0.366  0.167
O  0.634  0.384  0.333
O  0.645  0.355  0.750
O  0.661  0.914  0.955
O  0.753  0.459  0.638
O  0.774  0.458  0.875
O  0.787  0.997  0.361
O  0.795  0.974  0.125
O  0.835  0.588  0.046
O  0.897  0.103  0.250
O  0.914  0.661  0.455
O  0.974  0.795  0.625
O  0.997  0.787  0.861

***

A plane-wave DFT calculation with PBE-GGA was carried out for a relaxed structure of SiPbO3.

ΔH_f (0 K), kJ/mol of atoms: -250.5

Lattice parameters (Å, degrees): 11.404 7.153 13.255 90.00 119.59 90.00
Fractional coordinates of all 60 atoms:
Si  0.035  0.127  0.154
Si  0.035  0.873  0.654
Si  0.251  0.182  0.536
Si  0.251  0.818  0.036
Si  0.363  0.406  0.393
Si  0.363  0.594  0.893
Si  0.637  0.406  0.107
Si  0.637  0.594  0.607
Si  0.749  0.182  0.964
Si  0.749  0.818  0.464
Si  0.965  0.127  0.346
Si  0.965  0.873  0.846
Pb  0.067  0.384  0.655
Pb  0.067  0.616  0.155
Pb  0.301  0.305  0.102
Pb  0.301  0.695  0.602
Pb  0.369  0.060  0.822
Pb  0.369  0.940  0.322
Pb  0.631  0.060  0.678
Pb  0.631  0.940  0.178
Pb  0.699  0.305  0.398
Pb  0.699  0.695  0.898
Pb  0.933  0.384  0.845
Pb  0.933  0.616  0.345
O  0.000  0.226  0.250
O  0.000  0.774  0.750
O  0.099  0.290  0.109
O  0.099  0.710  0.609
O  0.113  0.058  0.455
O  0.113  0.942  0.955
O  0.134  0.052  0.709
O  0.134  0.948  0.209
O  0.217  0.371  0.587
O  0.217  0.629  0.087
O  0.256  0.425  0.833
O  0.256  0.575  0.333
O  0.318  0.239  0.455
O  0.318  0.761  0.955
O  0.358  0.047  0.641
O  0.358  0.953  0.141
O  0.401  0.286  0.307
O  0.401  0.714  0.807
O  0.500  0.500  0.000
O  0.500  0.500  0.500
O  0.599  0.286  0.193
O  0.599  0.714  0.693
O  0.642  0.047  0.859
O  0.642  0.953  0.359
O  0.682  0.239  0.045
O  0.682  0.761  0.545
O  0.744  0.425  0.667
O  0.744  0.575  0.167
O  0.783  0.371  0.913
O  0.783  0.629  0.413
O  0.866  0.052  0.791
O  0.866  0.948  0.291
O  0.887  0.058  0.045
O  0.887  0.942  0.545
O  0.901  0.290  0.391
O  0.901  0.710  0.891

***

A plane-wave DFT calculation with PBE-GGA was carried out for a relaxed structure of SiPbO3.

ΔH_f (0 K), kJ/mol of atoms: -209.6

Lattice parameters (Å, degrees): 3.748 3.748 3.748 90.00 90.00 90.00
Fractional coordinates of all 5 atoms:
Si  0.000  0.000  0.000
Pb  0.500  0.500  0.500
O  0.000  0.000  0.500
O  0.000  0.500  0.000
O  0.500  0.000  0.000

***

A plane-wave DFT calculation with PBE-GGA was carried out for a relaxed structure of Zn4SiTePbO10.

ΔH_f (0 K), kJ/mol of atoms: -192.2

Lattice parameters (Å, degrees): 6.622 15.842 8.413 90.00 90.00 90.00
Fractional coordinates of all 68 atoms:
Zn  0.029  0.066  0.122
Zn  0.029  0.434  0.122
Zn  0.214  0.136  0.771
Zn  0.214  0.364  0.771
Zn  0.286  0.636  0.271
Zn  0.286  0.864  0.271
Zn  0.471  0.566  0.622
Zn  0.471  0.934  0.622
Zn  0.529  0.066  0.378
Zn  0.529  0.434  0.378
Zn  0.714  0.136  0.729
Zn  0.714  0.364  0.729
Zn  0.786  0.636  0.229
Zn  0.786  0.864  0.229
Zn  0.971  0.566  0.878
Zn  0.971  0.934  0.878
Si  0.066  0.750  0.011
Si  0.434  0.250  0.511
Si  0.566  0.750  0.489
Si  0.934  0.250  0.989
Te  0.000  0.000  0.500
Te  0.000  0.500  0.500
Te  0.500  0.000  0.000
Te  0.500  0.500  0.000
Pb  0.056  0.750  0.590
Pb  0.444  0.250  0.090
Pb  0.556  0.750  0.910
Pb  0.944  0.250  0.410
O  0.025  0.586  0.330
O  0.025  0.914  0.330
O  0.027  0.590  0.658
O  0.027  0.910  0.658
O  0.084  0.167  0.982
O  0.084  0.333  0.982
O  0.194  0.750  0.845
O  0.207  0.515  0.006
O  0.207  0.985  0.006
O  0.220  0.750  0.167
O  0.280  0.250  0.667
O  0.293  0.015  0.506
O  0.293  0.485  0.506
O  0.306  0.250  0.345
O  0.416  0.667  0.482
O  0.416  0.833  0.482
O  0.473  0.090  0.158
O  0.473  0.410  0.158
O  0.475  0.086  0.830
O  0.475  0.414  0.830
O  0.525  0.586  0.170
O  0.525  0.914  0.170
O  0.527  0.590  0.842
O  0.527  0.910  0.842
O  0.584  0.167  0.518
O  0.584  0.333  0.518
O  0.694  0.750  0.655
O  0.707  0.515  0.494
O  0.707  0.985  0.494
O  0.720  0.750  0.333
O  0.780  0.250  0.833
O  0.793  0.015  0.994
O  0.793  0.485  0.994
O  0.806  0.250  0.155
O  0.916  0.667  0.018
O  0.916  0.833  0.018
O  0.973  0.090  0.342
O  0.973  0.410  0.342
O  0.975  0.086  0.670
O  0.975  0.414  0.670

***

A plane-wave DFT calculation with PBE-GGA was carried out for a relaxed structure of USiPbO7.

ΔH_f (0 K), kJ/mol of atoms: -235.5

Lattice parameters (Å, degrees): 6.778 6.934 13.349 90.00 102.65 90.00
Fractional coordinates of all 40 atoms:
U  0.021  0.224  0.321
U  0.021  0.276  0.821
U  0.979  0.724  0.179
U  0.979  0.776  0.679
Si  0.089  0.711  0.426
Si  0.089  0.789  0.926
Si  0.911  0.211  0.074
Si  0.911  0.289  0.574
Pb  0.448  0.030  0.129
Pb  0.448  0.470  0.629
Pb  0.552  0.530  0.371
Pb  0.552  0.970  0.871
O  0.030  0.058  0.164
O  0.030  0.442  0.664
O  0.041  0.243  0.986
O  0.041  0.257  0.486
O  0.081  0.596  0.853
O  0.081  0.904  0.353
O  0.258  0.694  0.202
O  0.258  0.806  0.702
O  0.296  0.222  0.830
O  0.296  0.278  0.330
O  0.317  0.627  0.473
O  0.317  0.873  0.973
O  0.459  0.027  0.534
O  0.459  0.473  0.034
O  0.541  0.527  0.966
O  0.541  0.973  0.466
O  0.683  0.127  0.027
O  0.683  0.373  0.527
O  0.704  0.722  0.670
O  0.704  0.778  0.170
O  0.742  0.194  0.298
O  0.742  0.306  0.798
O  0.919  0.096  0.647
O  0.919  0.404  0.147
O  0.959  0.743  0.514
O  0.959  0.757  0.014
O  0.970  0.558  0.336
O  0.970  0.942  0.836

***

A plane-wave DFT calculation with PBE-GGA was carried out for a relaxed structure of USiPbO6.

ΔH_f (0 K), kJ/mol of atoms: -295.5

Lattice parameters (Å, degrees): 6.724 6.931 13.388 90.00 103.25 90.00
Fractional coordinates of all 36 atoms:
U  0.023  0.223  0.323
U  0.023  0.277  0.823
U  0.977  0.723  0.177
U  0.977  0.777  0.677
Si  0.094  0.712  0.426
Si  0.094  0.788  0.926
Si  0.906  0.212  0.074
Si  0.906  0.288  0.574
Pb  0.443  0.022  0.129
Pb  0.443  0.478  0.629
Pb  0.557  0.522  0.371
Pb  0.557  0.978  0.871
O  0.020  0.058  0.165
O  0.020  0.442  0.665
O  0.039  0.234  0.987
O  0.039  0.266  0.487
O  0.075  0.592  0.854
O  0.075  0.908  0.354
O  0.261  0.698  0.202
O  0.261  0.802  0.702
O  0.304  0.232  0.834
O  0.304  0.268  0.334
O  0.330  0.642  0.473
O  0.330  0.858  0.973
O  0.670  0.142  0.027
O  0.670  0.358  0.527
O  0.696  0.732  0.666
O  0.696  0.768  0.166
O  0.739  0.198  0.298
O  0.739  0.302  0.798
O  0.925  0.092  0.646
O  0.925  0.408  0.146
O  0.961  0.734  0.513
O  0.961  0.766  0.013
O  0.980  0.558  0.335
O  0.980  0.942  0.835

***

A plane-wave DFT calculation with PBE-GGA was carried out for a relaxed structure of ZnSiPbO4.

ΔH_f (0 K), kJ/mol of atoms: -229.7

Lattice parameters (Å, degrees): 8.367 19.303 5.146 90.00 90.00 90.00
Fractional coordinates of all 56 atoms:
Zn  0.000  0.058  0.000
Zn  0.000  0.942  0.500
Zn  0.180  0.344  0.999
Zn  0.320  0.844  0.499
Zn  0.500  0.442  0.000
Zn  0.500  0.558  0.500
Zn  0.680  0.156  0.999
Zn  0.820  0.656  0.499
Si  0.201  0.678  0.505
Si  0.230  0.927  0.990
Si  0.270  0.427  0.490
Si  0.299  0.178  0.005
Si  0.701  0.822  0.505
Si  0.730  0.573  0.990
Si  0.770  0.073  0.490
Si  0.799  0.322  0.005
Pb  0.041  0.768  0.032
Pb  0.147  0.559  0.065
Pb  0.353  0.059  0.565
Pb  0.459  0.268  0.532
Pb  0.541  0.732  0.032
Pb  0.647  0.941  0.065
Pb  0.853  0.441  0.565
Pb  0.959  0.232  0.532
O  0.037  0.647  0.357
O  0.070  0.965  0.861
O  0.111  0.474  0.427
O  0.151  0.129  0.913
O  0.176  0.681  0.819
O  0.202  0.920  0.307
O  0.223  0.756  0.378
O  0.246  0.849  0.863
O  0.254  0.349  0.363
O  0.277  0.256  0.878
O  0.298  0.420  0.807
O  0.324  0.181  0.319
O  0.349  0.629  0.413
O  0.389  0.974  0.927
O  0.430  0.465  0.361
O  0.463  0.147  0.857
O  0.537  0.853  0.357
O  0.570  0.535  0.861
O  0.611  0.026  0.427
O  0.651  0.371  0.913
O  0.676  0.819  0.819
O  0.702  0.580  0.307
O  0.723  0.744  0.378
O  0.746  0.651  0.863
O  0.754  0.151  0.363
O  0.777  0.244  0.878
O  0.798  0.080  0.807
O  0.824  0.319  0.319
O  0.849  0.871  0.413
O  0.889  0.526  0.927
O  0.930  0.035  0.361
O  0.963  0.353  0.857

***

These records have electronic total energy values of -6.543, -6.544, -6.980, -6.556, -5.517, -7.835, -8.173, -6.301 eV/atom, in the order they appear.
These records have total energy after the MP2020 corrections values of -6.9355, -6.9367, -7.3923, -6.9683, -5.9213, -7.9477, -8.6310, -6.6939 eV per atom, in the order they appear.